{
  "formula": "V2Ni21B6",
  "functional": "GGA-PBE",
  "state": "optimized geometry",
  "formation_enthalpy_0k_ev_per_atom": -0.276,
  "e_tot_ev_per_cell": -187.64,
  "cell": [[2.3971, -4.4173, 5.3942], [-4.1526, -5.6626, 2.2467], [2.0519, -6.9131, -1.5345]],
  "species": ["V", "V", "Ni", "Ni", "Ni", "Ni", "Ni", "Ni", "Ni", "Ni", "Ni", "Ni", "Ni", "Ni", "Ni", "Ni", "Ni", "Ni", "Ni", "Ni", "Ni", "Ni", "Ni", "B", "B", "B", "B", "B", "B"],
  "fractional_positions": [[0.2500, 0.2500, 0.2500], [0.7500, 0.7500, 0.7500], [0.3404, 0.0000, 0.0000], [0.6596, 0.0000, 0.0000], [0.0000, 0.3404, 0.6596], [0.0000, 0.6596, 0.3404], [0.0000, 0.3404, 0.0000], [0.6596, 0.0000, 0.3404], [0.0000, 0.6596, 0.0000], [0.3404, 0.0000, 0.6596], [0.0000, 0.0000, 0.3404], [0.0000, 0.0000, 0.6596], [0.6596, 0.3404, 0.0000], [0.3404, 0.6596, 0.0000], [0.3816, 0.3816, 0.3816], [0.6184, 0.6184, 0.6184], [0.3816, 0.3816, 0.8551], [0.3816, 0.8551, 0.3816], [0.6184, 0.6184, 0.1449], [0.6184, 0.1449, 0.6184], [0.8551, 0.3816, 0.3816], [0.1449, 0.6184, 0.6184], [0.0000, 0.0000, 0.0000], [0.7316, 0.2684, 0.2684], [0.2684, 0.7316, 0.7316], [0.2684, 0.7316, 0.2684], [0.7316, 0.2684, 0.7316], [0.2684, 0.2684, 0.7316], [0.7316, 0.7316, 0.2684]]
}